Material: SnSe2
Method: DFT, r²SCAN
State: optimized geometry

ΔH_f (0 K) (eV per atom): -0.42

Cell and atoms, written as POSCAR:
```
SnSe2
1.0
3.842 0.000 0.000
-1.921 3.327 0.000
0.000 0.000 6.486
Sn Se
1 2
Direct
0.000 0.000 0.000
0.333 0.667 0.243
0.667 0.333 0.757
```


Material: Ba2YbMgNbO6
Method: DFT, r²SCAN
State: optimized geometry

ΔH_f (0 K) (eV per atom): -2.69
Relative energy among the computed polymorphs (meV per atom): 40

Cell and atoms, written as POSCAR:
```
Ba2YbMgNbO6
1.0
2.949 1.702 5.694
-2.949 1.702 5.694
0.000 -3.405 5.694
Ba Yb Mg Nb O
2 1 1 1 6
Direct
0.000 0.000 0.000
0.443 0.443 0.443
0.204 0.204 0.204
0.832 0.832 0.832
0.677 0.677 0.677
0.451 0.451 0.939
0.451 0.939 0.451
0.452 0.932 0.932
0.932 0.452 0.932
0.932 0.932 0.452
0.939 0.451 0.451
```


Material: La2Co14B
Method: DFT, r²SCAN
State: optimized geometry

ΔH_f (0 K) (eV per atom): -0.06

Cell and atoms, written as POSCAR:
```
La2Co14B
1.0
8.611 0.000 0.000
0.000 8.611 0.000
0.000 0.000 11.931
La Co B
8 56 4
Direct
0.140 0.140 0.000
0.231 0.231 0.500
0.269 0.731 0.000
0.360 0.640 0.500
0.640 0.360 0.500
0.731 0.269 0.000
0.769 0.769 0.500
0.860 0.860 0.000
0.000 0.000 0.386
0.000 0.000 0.614
0.000 0.500 0.000
0.000 0.500 0.500
0.033 0.641 0.182
0.033 0.641 0.818
0.067 0.721 0.376
0.067 0.721 0.624
0.101 0.899 0.214
0.101 0.899 0.786
0.141 0.467 0.318
0.141 0.467 0.682
0.183 0.183 0.252
0.183 0.183 0.748
0.221 0.433 0.124
0.221 0.433 0.876
0.279 0.933 0.376
0.279 0.933 0.624
0.317 0.683 0.248
0.317 0.683 0.752
0.359 0.967 0.182
0.359 0.967 0.818
0.399 0.399 0.286
0.399 0.399 0.714
0.433 0.221 0.124
0.433 0.221 0.876
0.467 0.141 0.318
0.467 0.141 0.682
0.500 0.000 0.000
0.500 0.000 0.500
0.500 0.500 0.114
0.500 0.500 0.886
0.533 0.859 0.318
0.533 0.859 0.682
0.567 0.779 0.124
0.567 0.779 0.876
0.601 0.601 0.286
0.601 0.601 0.714
0.641 0.033 0.182
0.641 0.033 0.818
0.683 0.317 0.248
0.683 0.317 0.752
0.721 0.067 0.376
0.721 0.067 0.624
0.779 0.567 0.124
0.779 0.567 0.876
0.817 0.817 0.252
0.817 0.817 0.748
0.859 0.533 0.318
0.859 0.533 0.682
0.899 0.101 0.214
0.899 0.101 0.786
0.933 0.279 0.376
0.933 0.279 0.624
0.967 0.359 0.182
0.967 0.359 0.818
0.125 0.875 0.500
0.375 0.375 0.000
0.625 0.625 0.000
0.875 0.125 0.500
```